Entry 1:
A relaxed VSb2 crystal, computed with meta-GGA r2SCAN.

abc: 5.426 5.426 5.426
angles: 105.61 105.61 117.51
Sites, in units of the cell vectors:
Sb (0.656, 0.156, 0.811)
Sb (0.844, 0.656, 0.500)
Sb (0.344, 0.844, 0.189)
Sb (0.156, 0.344, 0.500)
V (0.250, 0.250, 0.000)
V (0.750, 0.750, 0.000)

E: -65.68 eV/f.u.
energy relative to the elements: -60.8 meV per atom
symmetry: I4/mcm, No. 140

***

Entry 2:
A relaxed Er2InNi2 crystal, computed with meta-GGA r2SCAN.

abc: 3.651 3.810 7.284
angles: 105.16 90.00 90.00
Sites, in units of the cell vectors:
Ni (0.000, 0.199, 0.399)
Ni (0.000, 0.801, 0.601)
Er (0.500, 0.362, 0.724)
Er (0.500, 0.638, 0.276)
In (0.000, 0.000, 0.000)

E: -117.29 eV/f.u.
energy relative to the elements: -578.9 meV per atom
symmetry: Cmmm, No. 65

***

Entry 3:
A relaxed YbCuBi crystal, computed with meta-GGA r2SCAN.

abc: 4.705 4.705 6.873
angles: 90.00 90.00 120.00
Sites, in units of the cell vectors:
Yb (0.000, 0.000, 0.485)
Yb (0.000, 0.000, 0.985)
Bi (0.333, 0.667, 0.732)
Bi (0.667, 0.333, 0.232)
Cu (0.667, 0.333, 0.809)
Cu (0.333, 0.667, 0.309)

E: -106.97 eV/f.u.
energy relative to the elements: -365.4 meV per atom
symmetry: P6_3mc, No. 186

***

Entry 4:
A relaxed Mn3V2O8 crystal, computed with meta-GGA r2SCAN.

abc: 6.154 6.621 8.409
angles: 90.00 90.00 117.68
Sites, in units of the cell vectors:
O (0.154, 0.766, 0.001)
O (0.747, 0.494, 0.226)
O (0.888, 0.234, 0.501)
O (0.247, 0.494, 0.274)
O (0.500, 0.000, 0.251)
O (0.000, 0.000, 0.751)
O (0.500, 0.000, 0.749)
O (0.388, 0.234, 0.999)
O (0.112, 0.766, 0.499)
O (0.612, 0.766, 0.001)
O (0.753, 0.506, 0.726)
O (0.846, 0.234, 0.999)
O (0.654, 0.766, 0.499)
O (0.346, 0.234, 0.501)
O (0.253, 0.506, 0.774)
O (0.000, 0.000, 0.249)
V (0.380, 0.759, 0.882)
V (0.620, 0.241, 0.118)
V (0.880, 0.759, 0.618)
V (0.120, 0.241, 0.382)
Mn (0.112, 0.724, 0.250)
Mn (0.888, 0.276, 0.750)
Mn (0.388, 0.276, 0.750)
Mn (0.612, 0.724, 0.250)
Mn (0.500, 0.000, 0.500)
Mn (0.000, 0.000, 0.000)

E: -151.06 eV/f.u.
energy relative to the elements: -2388.3 meV per atom
symmetry: Cmce, No. 64

***

Entry 5:
A relaxed NaNiF3 crystal, computed with meta-GGA r2SCAN.

abc: 2.995 5.175 7.314
angles: 90.00 90.00 106.82
Sites, in units of the cell vectors:
Ni (0.000, 0.000, 0.500)
Ni (0.000, 0.000, 0.000)
F (0.370, 0.740, 0.558)
F (0.630, 0.260, 0.058)
F (0.077, 0.154, 0.750)
F (0.923, 0.846, 0.250)
F (0.630, 0.260, 0.442)
F (0.370, 0.740, 0.942)
Na (0.253, 0.506, 0.250)
Na (0.747, 0.494, 0.750)

E: -37.69 eV/f.u.
energy relative to the elements: -2552.3 meV per atom
symmetry: Cmcm, No. 63

***

Entry 6:
A relaxed K3DyCl6 crystal, computed with meta-GGA r2SCAN.

abc: 7.755 13.037 12.472
angles: 109.02 90.00 90.00
Sites, in units of the cell vectors:
Cl (0.504, 0.116, 0.366)
Cl (0.291, 0.101, 0.090)
Cl (0.669, 0.146, 0.660)
Cl (0.361, 0.500, 0.195)
Cl (0.786, 0.657, 0.609)
Cl (0.139, 0.500, 0.695)
Cl (0.286, 0.343, 0.891)
Cl (0.331, 0.854, 0.340)
Cl (0.639, 0.500, 0.805)
Cl (0.287, 0.655, 0.996)
Cl (0.213, 0.655, 0.496)
Cl (0.004, 0.884, 0.134)
Cl (0.791, 0.899, 0.410)
Cl (0.831, 0.146, 0.160)
Cl (0.214, 0.343, 0.391)
Cl (0.169, 0.854, 0.840)
Cl (0.714, 0.657, 0.109)
Cl (0.787, 0.345, 0.504)
Cl (0.209, 0.101, 0.590)
Cl (0.861, 0.500, 0.305)
Cl (0.996, 0.116, 0.866)
Cl (0.709, 0.899, 0.910)
Cl (0.713, 0.345, 0.004)
Cl (0.496, 0.884, 0.634)
K (0.463, 0.100, 0.859)
K (0.937, 0.314, 0.764)
K (0.037, 0.100, 0.359)
K (0.063, 0.686, 0.236)
K (0.572, 0.680, 0.388)
K (0.563, 0.314, 0.264)
K (0.963, 0.900, 0.641)
K (0.537, 0.900, 0.141)
K (0.437, 0.686, 0.736)
K (0.428, 0.320, 0.612)
K (0.072, 0.320, 0.112)
K (0.928, 0.680, 0.888)
Dy (0.000, 0.500, 0.500)
Dy (0.500, 0.500, 0.000)
Dy (0.000, 0.000, 0.000)
Dy (0.500, 0.000, 0.500)

E: -110.62 eV/f.u.
energy relative to the elements: -2366.6 meV per atom
symmetry: P2_1/c, No. 14

***

Entry 7:
A relaxed DyGaRh2 crystal, computed with meta-GGA r2SCAN.

abc: 4.527 4.527 4.527
angles: 60.00 60.00 60.00
Sites, in units of the cell vectors:
Rh (0.000, 0.000, 0.000)
Rh (0.500, 0.500, 0.500)
Ga (0.750, 0.750, 0.750)
Dy (0.250, 0.250, 0.250)

E: -95.22 eV/f.u.
energy relative to the elements: -881.0 meV per atom
symmetry: Fm-3m, No. 225

***

Entry 8:
A relaxed Na2Mg3Cl8 crystal, computed with meta-GGA r2SCAN.

abc: 7.345 7.345 19.463
angles: 90.00 90.00 120.00
Sites, in units of the cell vectors:
Cl (0.508, 0.492, 0.094)
Cl (0.000, 0.000, 0.904)
Cl (0.492, 0.984, 0.906)
Cl (0.016, 0.508, 0.906)
Cl (0.825, 0.175, 0.572)
Cl (0.333, 0.667, 0.571)
Cl (0.683, 0.842, 0.239)
Cl (0.650, 0.825, 0.428)
Cl (0.158, 0.842, 0.239)
Cl (0.000, 0.000, 0.096)
Cl (0.842, 0.158, 0.761)
Cl (0.492, 0.508, 0.906)
Cl (0.317, 0.158, 0.761)
Cl (0.175, 0.825, 0.428)
Cl (0.667, 0.333, 0.238)
Cl (0.842, 0.683, 0.761)
Cl (0.333, 0.667, 0.762)
Cl (0.984, 0.492, 0.094)
Cl (0.175, 0.350, 0.428)
Cl (0.508, 0.016, 0.094)
Cl (0.350, 0.175, 0.572)
Cl (0.667, 0.333, 0.429)
Cl (0.158, 0.317, 0.239)
Cl (0.825, 0.650, 0.572)
Na (0.333, 0.667, 0.325)
Na (0.667, 0.333, 0.992)
Na (0.667, 0.333, 0.675)
Na (0.000, 0.000, 0.658)
Na (0.333, 0.667, 0.008)
Na (0.000, 0.000, 0.342)
Mg (0.167, 0.333, 0.833)
Mg (0.167, 0.833, 0.833)
Mg (0.500, 0.500, 0.500)
Mg (0.833, 0.667, 0.167)
Mg (0.000, 0.500, 0.500)
Mg (0.500, 0.000, 0.500)
Mg (0.333, 0.167, 0.167)
Mg (0.833, 0.167, 0.167)
Mg (0.667, 0.833, 0.833)

E: -95.72 eV/f.u.
energy relative to the elements: -2066.5 meV per atom